a:
Here is a relaxed HfMg6BO7 crystal from Materials Project. Energies are from PBE.

a = 4.1764 Å, b = 4.1764 Å, c = 10.2497 Å
α = 90.00°, β = 90.00°, γ = 90.00°
Closest atoms and distances in Å follow each position.
Atoms (fractional coordinates):
1 Hf 0.0000 0.0000 0.0000  5 O 1.97-2.11
2 Mg 0.0000 0.5000 0.2673  5 O 2.04-2.15
3 Mg 0.0000 0.5000 0.6893  3 O 2.29-2.41
4 Mg 0.5000 0.0000 0.2673  5 O 2.04-2.15
5 Mg 0.5000 0.0000 0.6893  3 O 2.29-2.41
6 Mg 0.5000 0.5000 0.0503  5 O 2.04-2.10
7 Mg 0.5000 0.5000 0.4735  5 O 2.09-2.30
8 B 0.0000 0.0000 0.5163  4 O 2.15
9 O 0.0000 0.0000 0.2168  4 Mg 2.15, 1 Hf 2.22
10 O 0.0000 0.0000 0.8074  1 Hf 1.97
11 O 0.0000 0.5000 0.0274  2 Mg 2.10, 2 Hf 2.11
12 O 0.0000 0.5000 0.4663  3 Mg 2.04-2.09, 2 B 2.15
13 O 0.5000 0.0000 0.0274  2 Mg 2.10, 2 Hf 2.11
14 O 0.5000 0.0000 0.4663  3 Mg 2.04-2.09, 2 B 2.15
15 O 0.5000 0.5000 0.2493  5 Mg 2.04-2.10

Properties
Crystal system   tetragonal

b:
Here is a relaxed HfMg6BO7 crystal from Materials Project. Energies are from PBE.

a = 4.0751 Å, b = 4.0751 Å, c = 10.5245 Å
α = 90.00°, β = 90.00°, γ = 90.00°
Closest atoms and distances in Å follow each position.
Atoms (fractional coordinates):
1 Hf 0.0000 0.0000 0.0000  4 O 2.13
2 Mg 0.0000 0.0000 0.5227  5 O 2.04-2.10
3 Mg 0.0000 0.5000 0.2795  3 O 2.03-2.04
4 Mg 0.0000 0.5000 0.7509  5 O 2.00-2.11
5 Mg 0.5000 0.0000 0.2795  3 O 2.03-2.04
6 Mg 0.5000 0.0000 0.7509  5 O 2.00-2.11
7 Mg 0.5000 0.5000 0.5093  5 O 1.99-2.07
8 B 0.5000 0.5000 0.1515  1 O 1.46
9 O 0.0000 0.0000 0.7165  5 Mg 2.04-2.07
10 O 0.0000 0.5000 0.4729  5 Mg 2.03-2.10
11 O 0.0000 0.5000 0.9405  1 Mg 2.00, 2 Hf 2.13
12 O 0.5000 0.0000 0.4729  5 Mg 2.03-2.10
13 O 0.5000 0.0000 0.9405  1 Mg 2.00, 2 Hf 2.13
14 O 0.5000 0.5000 0.2902  1 B 1.46
15 O 0.5000 0.5000 0.6986  5 Mg 1.99-2.11

Properties
Crystal system   tetragonal

Top of the stability list: b, leading by 0.108 eV/atom.

a:
Here is a relaxed Mg6Si5 crystal from Materials Project. Energies are from PBE.

a = 5.3441 Å, b = 6.2860 Å, c = 13.4021 Å
α = 95.75°, β = 101.35°, γ = 90.10°
Closest atoms and distances in Å follow each position.
Atoms (fractional coordinates):
1 Mg 0.0000 0.0000 0.0000  3 Si 2.84-3.06, 2 Mg 3.07-3.12
2 Mg 0.0117 0.5131 0.0085  3 Si 2.83-2.93, 3 Mg 3.02-3.11
3 Mg 0.0493 0.2212 0.7822  5 Si 2.82-2.94
4 Mg 0.0728 0.8092 0.2265  2 Si 2.70-2.84
5 Mg 0.1764 0.7196 0.8070  6 Si 2.73-3.02
6 Mg 0.2132 0.2879 0.2123  2 Si 2.67-2.80, 2 Mg 2.91-2.97
7 Mg 0.4680 0.0100 0.4470  4 Si 2.73-2.86, 1 Mg 3.02
8 Mg 0.5069 0.2956 0.6447  3 Si 2.68-2.85
9 Mg 0.5250 0.7677 0.0868  3 Si 2.71-2.87
10 Mg 0.6225 0.6074 0.3260  4 Si 2.66-2.91
11 Mg 0.6606 0.2915 0.1187  3 Si 2.75-2.80, 3 Mg 2.91-3.02
12 Mg 0.9563 0.5501 0.5610  5 Si 2.68-2.85
13 Si 0.1219 0.5393 0.3737  2 Si 2.38-2.45
14 Si 0.2906 0.8786 0.6366  3 Si 2.42-2.51
15 Si 0.4526 0.6181 0.5200  2 Si 2.38-2.43
16 Si 0.4629 0.0549 0.9310  2 Si 2.42
17 Si 0.4627 0.4400 0.9312  2 Si 2.40-2.42
18 Si 0.6290 0.0231 0.2661  1 Si 2.41
19 Si 0.6543 0.9273 0.7879  3 Si 2.42-2.51
20 Si 0.7085 0.5526 0.8133  2 Si 2.40-2.42, 1 Mg 2.68
21 Si 0.9662 0.1181 0.5650  2 Si 2.42-2.44
22 Si 0.9934 0.1712 0.3895  3 Si 2.41-2.45

Properties
Crystal system   triclinic

b:
Here is a relaxed Mg6Si5 crystal from Materials Project. Energies are from PBE.

a = 5.3787 Å, b = 5.8482 Å, c = 14.0012 Å
α = 99.33°, β = 97.93°, γ = 94.69°
Closest atoms and distances in Å follow each position.
Atoms (fractional coordinates):
1 Mg 0.0000 0.0000 0.0000  6 Si 2.76-3.01
2 Mg 0.0172 0.4823 0.6137  3 Si 2.79-2.84, 1 Mg 3.05
3 Mg 0.2316 0.0229 0.6856  5 Si 2.71-2.86
4 Mg 0.4478 0.6947 0.5239  4 Si 2.73-3.04, 1 Mg 3.01
5 Mg 0.4705 0.1792 0.4665  4 Si 2.69-2.84, 1 Mg 3.01
6 Mg 0.5045 0.6613 0.0148  4 Si 2.77-2.99
7 Mg 0.5630 0.2422 0.1369  6 Si 2.76-2.90
8 Mg 0.7022 0.8270 0.7886  6 Si 2.71-2.89
9 Mg 0.7618 0.7939 0.2427  6 Si 2.78-3.07
10 Mg 0.9094 0.3775 0.8647  5 Si 2.78-2.94
11 Mg 0.9318 0.3848 0.3755  4 Si 2.76-3.03
12 Mg 0.9485 0.9199 0.4760  2 Si 2.76-2.77, 2 Mg 3.06-3.09
13 Si 0.0701 0.2174 0.1963  3 Si 2.48-2.56, 2 Mg 2.76
14 Si 0.1999 0.7921 0.8407  2 Si 2.43-2.46, 1 Mg 2.71
15 Si 0.2551 0.7995 0.3372  2 Si 2.37-2.41
16 Si 0.2650 0.8439 0.1695  3 Si 2.41-2.50
17 Si 0.3977 0.4319 0.8219  3 Si 2.43-2.56
18 Si 0.4270 0.4373 0.3154  2 Si 2.37-2.48
19 Si 0.4898 0.1275 0.9312  2 Si 2.46-2.56
20 Si 0.5335 0.4196 0.6621  2 Si 2.37-2.44
21 Si 0.7351 0.0725 0.6411  1 Si 2.37
22 Si 0.9821 0.5047 0.0795  2 Si 2.45-2.56

Properties
Crystal system   triclinic

c:
Here is a relaxed Mg6Si5 crystal from Materials Project. Energies are from PBE.

a = 7.0419 Å, b = 4.1335 Å, c = 14.6797 Å
α = 90.00°, β = 98.82°, γ = 90.00°
Closest atoms and distances in Å follow each position.
Atoms (fractional coordinates):
1 Mg 0.0000 0.0000 0.0000  7 Si 2.79-3.05
2 Mg 0.0237 0.5000 0.1915  5 Si 2.69-2.95
3 Mg 0.1444 0.5000 0.6774  6 Si 2.83-3.06
4 Mg 0.2212 0.0000 0.3250  4 Si 2.66-2.71
5 Mg 0.2767 0.0000 0.5323  4 Si 2.58-2.73
6 Mg 0.3393 0.5000 0.0410  4 Si 2.68-2.75
7 Mg 0.4057 0.0000 0.8828  5 Si 2.84-2.87
8 Mg 0.5425 0.5000 0.2628  7 Si 2.85-3.00
9 Mg 0.6398 0.0000 0.4315  4 Si 2.69-2.75
10 Mg 0.6684 0.5000 0.5962  6 Si 2.79-3.01
11 Mg 0.8812 0.0000 0.7694  8 Si 2.88-3.13, 2 Mg 3.21
12 Mg 0.9706 0.5000 0.4303  5 Si 2.89-3.04, 4 Mg 3.12-3.19
13 Si 0.1228 0.5000 0.8681  1 Si 2.41
14 Si 0.2989 0.0000 0.1531  1 Si 2.50, 3 Mg 2.66-2.68
15 Si 0.3805 0.5000 0.4293  9 Mg 2.71-2.93
16 Si 0.4691 0.0000 0.6966  2 Si 2.40, 1 Mg 2.58
17 Si 0.5495 0.5000 0.7758  3 Si 2.33-2.40
18 Si 0.6428 0.0000 0.1296  4 Si 2.48-2.50
19 Si 0.7290 0.5000 0.0513  3 Si 2.33-2.49
20 Si 0.7982 0.5000 0.9008  3 Si 2.33-2.41
21 Si 0.8326 0.0000 0.2865  1 Si 2.48, 2 Mg 2.69-2.71
22 Si 0.9261 0.0000 0.5778  7 Mg 2.65-2.88

Properties
Crystal system   monoclinic

Top of the stability list: c, leading by 0.045 eV/atom.

a:
Here is a relaxed Te6Mo3WS2 crystal from Materials Project. Energies are from PBE.

a = 3.4575 Å, b = 3.4575 Å, c = 39.2637 Å
α = 90.00°, β = 90.00°, γ = 120.00°
Closest atoms and distances in Å follow each position.
Atoms (fractional coordinates):
1 Te 0.0000 0.0000 0.0000  3 Mo 2.72
2 Te 0.0000 0.0000 0.0942  3 Mo 2.72
3 Te 0.0000 0.0000 0.6235  3 W 2.73
4 Te 0.0000 0.0000 0.7182  3 W 2.73
5 Te 0.3333 0.6667 0.8118  3 Mo 2.72
6 Te 0.3333 0.6667 0.9059  3 Mo 2.72
7 Mo 0.0000 0.0000 0.4833  6 S 2.49
8 Mo 0.0000 0.0000 0.8589  6 Te 2.72
9 Mo 0.3333 0.6667 0.0471  6 Te 2.72
10 W 0.3333 0.6667 0.6708  6 Te 2.73
11 S 0.3333 0.6667 0.4454  3 Mo 2.49
12 S 0.3333 0.6667 0.5213  3 Mo 2.49

Properties
Crystal system   trigonal

b:
Here is a relaxed Te6Mo3WS2 crystal from Materials Project. Energies are from PBE.

a = 3.4507 Å, b = 3.4507 Å, c = 39.2708 Å
α = 90.00°, β = 90.00°, γ = 120.00°
Closest atoms and distances in Å follow each position.
Atoms (fractional coordinates):
1 Te 0.0000 0.0000 0.0000  3 Mo 2.72
2 Te 0.0000 0.0000 0.0942  3 Mo 2.72
3 Te 0.0000 0.0000 0.3757  3 Mo 2.72
4 Te 0.0000 0.0000 0.4699  3 Mo 2.72
5 Te 0.3333 0.6667 0.8121  3 Mo 2.72
6 Te 0.3333 0.6667 0.9063  3 Mo 2.72
7 Mo 0.0000 0.0000 0.8591  6 Te 2.72
8 Mo 0.3333 0.6667 0.0471  6 Te 2.72
9 Mo 0.3333 0.6667 0.4228  6 Te 2.72
10 W 0.0000 0.0000 0.2349  6 S 2.49
11 S 0.3333 0.6667 0.1969  3 W 2.49
12 S 0.3333 0.6667 0.2729  3 W 2.49

Properties
Crystal system   trigonal

Top of the stability list: b, leading by 0.034 eV/atom.